1.
The following is a GGA+U calculation of crystalline CsNdMo2O8 at its relaxed geometry, from Materials Project.

Properties
Symmetry: No. 15
Energy: -84.979 eV/f.u.
Energy relative to the elements: -2495.1 meV per atom
MP2020-corrected energy: -193.76 eV per cell

The structure in POSCAR format:
```
CsNdMo2O8
1.0
5.5602 -5.4078 0.0000
5.5602 5.4078 0.0000
-5.3438 0.0000 6.0241
Cs Nd Mo O
2 2 4 16
direct
0.1960 0.8040 0.7500
0.8040 0.1960 0.2500
0.2298 0.7702 0.2500
0.7702 0.2298 0.7500
0.3084 0.3095 0.2662
0.3095 0.3084 0.7662
0.6905 0.6916 0.2338
0.6916 0.6905 0.7338
0.0616 0.2161 0.7033
0.0750 0.3840 0.1294
0.2161 0.0616 0.2033
0.2432 0.3864 0.5739
0.3715 0.5817 0.0304
0.3840 0.0750 0.6294
0.3864 0.2432 0.0739
0.4183 0.6285 0.4696
0.5817 0.3715 0.5304
0.6136 0.7568 0.9261
0.6160 0.9250 0.3706
0.6285 0.4183 0.9696
0.7568 0.6136 0.4261
0.7839 0.9384 0.7967
0.9250 0.6160 0.8706
0.9384 0.7839 0.2967
```

2.
The following is a GGA+U calculation of crystalline Li9Co7O16 at its relaxed geometry, from Materials Project.

Properties
Symmetry: No. 2
Energy: -175.201 eV/f.u.
Energy relative to the elements: -1611.0 meV per atom
MP2020-corrected energy: -197.66 eV per cell
Energy relative to the lowest polymorph listed for this composition: 13.9 kJ per mole of atoms

The structure in POSCAR format:
```
Li9Co7O16
1.0
3.0084 0.0000 0.0000
0.0180 8.0206 0.0000
0.2836 0.2169 11.9866
Li Co O
9 7 16
direct
0.0000 0.0000 0.0000
0.0000 0.0000 0.5000
0.0000 0.5000 0.0000
0.0009 0.4980 0.2509
0.4977 0.2557 0.8772
0.5004 0.2503 0.3760
0.4996 0.7497 0.6240
0.5023 0.7443 0.1228
0.9991 0.5020 0.7491
0.0000 0.5000 0.5000
0.0060 0.0029 0.2490
0.4977 0.7416 0.8802
0.4991 0.2492 0.6254
0.5009 0.7508 0.3746
0.5023 0.2584 0.1198
0.9940 0.9971 0.7510
0.0054 0.2589 0.5045
0.0096 0.7597 0.2530
0.0357 0.7507 0.9899
0.0406 0.2401 0.2437
0.4878 0.9806 0.8684
0.4909 0.4907 0.6196
0.4971 0.0098 0.6294
0.4981 0.5249 0.8723
0.5019 0.4751 0.1277
0.5029 0.9902 0.3706
0.5091 0.5093 0.3804
0.5122 0.0194 0.1316
0.9594 0.7599 0.7563
0.9643 0.2493 0.0101
0.9904 0.2403 0.7470
0.9946 0.7411 0.4955
```

3.
The following is a GGA+U calculation of crystalline K2Th3MgMo8O32 at its relaxed geometry, from Materials Project.

Properties
Symmetry: No. 15
Energy: -341.426 eV/f.u.
Energy relative to the elements: -2562.3 meV per atom
MP2020-corrected energy: -778.05 eV per cell

The structure in POSCAR format:
```
K2Th3MgMo8O32
1.0
9.4168 -9.1634 0.0000
9.4168 9.1634 0.0000
-0.0699 0.0000 9.5465
K Th Mg Mo O
4 6 2 16 64
direct
0.1223 0.6433 0.9375
0.3567 0.8777 0.5625
0.6433 0.1223 0.4375
0.8777 0.3567 0.0625
0.1319 0.3705 0.6606
0.3691 0.6309 0.2500
0.3705 0.1319 0.1606
0.6295 0.8681 0.8394
0.6309 0.3691 0.7500
0.8681 0.6295 0.3394
0.0887 0.9113 0.7500
0.9113 0.0887 0.2500
0.0873 0.1557 0.9645
0.1080 0.4655 0.2432
0.1496 0.6688 0.5313
0.1557 0.0873 0.4645
0.3312 0.8504 0.9687
0.3588 0.4061 0.9522
0.4061 0.3588 0.4522
0.4655 0.1080 0.7432
0.5345 0.8920 0.2568
0.5939 0.6412 0.5478
0.6412 0.5939 0.0478
0.6688 0.1496 0.0313
0.8443 0.9127 0.5355
0.8504 0.3312 0.4687
0.8920 0.5345 0.7568
0.9127 0.8443 0.0355
0.0160 0.8320 0.9146
0.0199 0.4850 0.7964
0.0440 0.0704 0.3642
0.0449 0.6487 0.4134
0.0704 0.0440 0.8642
0.0827 0.2621 0.8434
0.1176 0.4187 0.4205
0.1193 0.7671 0.6531
0.1261 0.3619 0.1310
0.1431 0.2088 0.5546
0.1680 0.9840 0.5854
0.1769 0.5560 0.6299
0.2024 0.5606 0.2035
0.2088 0.1431 0.0546
0.2329 0.8807 0.8469
0.2412 0.4137 0.8557
0.2621 0.0827 0.3434
0.2622 0.7023 0.4323
0.2977 0.7378 0.0677
0.3062 0.3576 0.5785
0.3513 0.9551 0.0866
0.3576 0.3062 0.0785
0.3619 0.1261 0.6310
0.3780 0.5265 0.0350
0.3786 0.4611 0.3319
0.4137 0.2412 0.3557
0.4187 0.1176 0.9205
0.4394 0.7976 0.2965
0.4440 0.8231 0.8701
0.4611 0.3786 0.8319
0.4735 0.6220 0.4650
0.4850 0.0199 0.2964
0.5150 0.9801 0.7036
0.5265 0.3780 0.5350
0.5389 0.6214 0.1681
0.5560 0.1769 0.1299
0.5606 0.2024 0.7035
0.5813 0.8824 0.0795
0.5863 0.7588 0.6443
0.6214 0.5389 0.6681
0.6220 0.4735 0.9650
0.6381 0.8739 0.3690
0.6424 0.6938 0.9215
0.6487 0.0449 0.9134
0.6938 0.6424 0.4215
0.7023 0.2622 0.9323
0.7378 0.2977 0.5677
0.7379 0.9173 0.6566
0.7588 0.5863 0.1443
0.7671 0.1193 0.1531
0.7912 0.8569 0.9454
0.7976 0.4394 0.7965
0.8231 0.4440 0.3701
0.8320 0.0160 0.4146
0.8569 0.7912 0.4454
0.8739 0.6381 0.8690
0.8807 0.2329 0.3469
0.8824 0.5813 0.5795
0.9173 0.7379 0.1566
0.9296 0.9560 0.1358
0.9551 0.3513 0.5866
0.9560 0.9296 0.6358
0.9801 0.5150 0.2036
0.9840 0.1680 0.0854
```